1.
Density functional theory data (PBE+U) for a geometry-optimized FeOF structure. Values from VASP.

Values from the calculation:
As for the electronic total energy: -0.4411 Ry per atom. For the energy of formation from the pure elements, the calculation gives -2025 meV per atom.

The structure in Quantum ESPRESSO input format:
```
&SYSTEM
  ibrav = 0, nat = 36, ntyp = 3
/
ATOMIC_SPECIES
Fe 55.84 Fe.upf
O 16.00 O.upf
F 19.00 F.upf
ATOMIC_POSITIONS angstrom
Fe 13.000 -0.223 5.712
Fe 4.228 -0.272 1.900
Fe 8.022 -9.345 5.482
Fe 1.286 -1.902 2.694
Fe 5.790 -1.773 4.629
Fe 10.350 -2.152 6.697
Fe 3.905 -4.793 2.721
Fe 12.474 -4.935 6.485
Fe 8.405 -4.742 4.671
Fe 0.942 -6.462 3.513
Fe 5.176 -6.626 5.393
Fe 9.567 -6.716 7.326
O 2.779 -0.674 3.083
O 7.235 -0.630 5.016
O 11.497 -0.621 6.871
O 1.188 -1.429 0.822
O 5.582 -1.413 2.733
O 11.466 -3.373 5.714
O 2.450 -5.259 3.915
O 11.034 -5.427 7.691
O 0.799 -6.060 1.637
O 5.199 -6.070 3.556
O 9.441 -6.073 5.405
O 8.276 -8.127 7.063
F 9.942 -1.565 4.665
F 2.762 -3.253 1.895
F 7.151 -3.340 3.826
F -0.032 -3.462 2.451
F 4.298 -3.455 4.337
F 8.575 -3.425 6.194
F 6.765 -5.276 5.799
F 2.384 -7.901 2.719
F 11.095 -7.950 6.525
F 6.678 -7.860 4.581
F -0.426 -8.080 3.262
F 3.867 -8.121 5.141
CELL_PARAMETERS angstrom
-0.766 -9.289 1.641
13.028 -0.083 5.695
-1.220 0.595 2.800
```

2.
Density functional theory data (PBE+U) for a geometry-optimized Li10Si2NiO10 structure. Values from VASP.

Values from the calculation:
As for the electronic total energy: -0.4197 Ry per atom. For the energy of formation from the pure elements, the calculation gives -2416 meV per atom.

The structure in Quantum ESPRESSO input format:
```
&SYSTEM
  ibrav = 0, nat = 46, ntyp = 4
/
ATOMIC_SPECIES
Li 6.94 Li.upf
Si 28.09 Si.upf
Ni 58.69 Ni.upf
O 16.00 O.upf
ATOMIC_POSITIONS angstrom
Li -13.070 -6.668 -3.304
Li -11.433 -9.028 -0.977
Li -12.683 -7.225 0.330
Li -23.359 -12.863 -4.600
Li -9.006 -6.385 -3.192
Li -10.702 -3.939 -1.419
Li -9.237 -6.956 0.760
Li -7.699 -6.731 -1.153
Li -9.239 -4.510 0.457
Li -7.320 -4.270 -1.111
Li -19.683 -10.895 -3.800
Li -19.304 -8.434 -3.758
Li -17.764 -10.655 -5.368
Li -17.767 -8.209 -5.671
Li -16.301 -11.227 -3.492
Li -17.998 -8.780 -1.718
Li -3.645 -2.302 -0.311
Li -15.571 -6.137 -3.934
Li -14.320 -7.940 -5.241
Li -13.933 -8.497 -1.607
Si -10.884 -6.431 -1.539
Si -20.580 -9.656 -6.366
Si -6.423 -5.509 1.455
Si -16.120 -8.734 -3.372
Ni -25.354 -11.889 -7.852
Ni -1.650 -3.276 2.941
O -12.261 -7.338 -1.606
O -23.811 -10.869 -7.783
O -10.768 -5.406 -2.843
O -9.558 -7.401 -1.512
O -10.851 -5.537 -0.161
O -7.382 -5.535 -2.711
O -9.028 -3.161 -0.990
O -21.256 -12.004 -3.774
O -7.686 -5.620 0.401
O -19.318 -9.545 -5.312
O -5.748 -3.161 -1.137
O -19.622 -9.630 -2.200
O -17.976 -12.004 -3.921
O -16.153 -9.628 -4.750
O -17.445 -7.764 -3.398
O -16.236 -9.759 -2.068
O -3.192 -4.296 2.872
O -14.742 -7.827 -3.304
O -12.329 -7.029 -5.213
O -13.891 -4.777 -3.581
CELL_PARAMETERS angstrom
-14.607 -3.745 -2.832
-11.614 -8.062 -5.962
-0.783 -3.358 3.883
```

3.
Density functional theory data (PBE+U) for a geometry-optimized Li7Mn16O32 structure. Values from VASP.

Values from the calculation:
Its energy above the most stable polymorph in this dataset is 66 meV per atom. As for the electronic total energy: -0.5044 Ry per atom. For the energy of formation from the pure elements, the calculation gives -1961 meV per atom.

The structure in Quantum ESPRESSO input format:
```
&SYSTEM
  ibrav = 0, nat = 55, ntyp = 3
/
ATOMIC_SPECIES
Li 6.94 Li.upf
Mn 54.94 Mn.upf
O 16.00 O.upf
ATOMIC_POSITIONS angstrom
Li 1.523 0.495 9.169
Li 7.256 4.085 9.167
Li 4.481 0.422 14.161
Li 10.193 4.047 14.143
Li 7.398 0.388 19.099
Li 10.316 0.345 24.113
Li 16.068 3.971 24.095
Mn 1.469 -0.014 2.492
Mn 5.916 2.173 16.655
Mn 10.260 4.528 20.819
Mn 4.378 2.285 9.174
Mn 5.864 2.259 11.656
Mn 8.743 2.296 11.628
Mn 13.186 4.487 25.812
Mn 7.327 2.233 14.158
Mn 8.786 2.210 16.628
Mn 16.017 4.603 20.763
Mn 11.696 2.266 16.613
Mn 10.276 2.210 19.126
Mn 11.730 2.191 21.598
Mn 14.720 2.077 31.578
Mn 13.202 2.158 24.094
Mn 14.661 2.153 26.593
O 2.753 1.226 3.246
O 4.376 1.208 5.993
O 4.360 3.293 7.516
O 3.105 1.158 8.241
O 5.688 1.191 8.216
O 4.422 1.256 10.823
O 5.680 3.400 10.094
O 4.409 3.347 12.350
O 7.311 1.171 10.963
O 6.042 1.119 13.217
O 7.299 3.261 12.489
O 8.625 1.154 13.193
O 6.026 3.330 15.095
O 7.355 1.248 15.798
O 8.616 3.365 15.071
O 7.343 3.311 17.326
O 10.247 1.132 15.946
O 8.979 1.080 18.192
O 10.238 3.217 17.469
O 11.562 1.117 18.170
O 8.962 3.289 20.070
O 11.530 3.313 20.061
O 10.289 1.180 20.775
O 10.277 3.271 22.302
O 13.186 1.094 20.922
O 11.914 1.039 23.174
O 13.174 3.179 22.445
O 11.900 3.249 25.044
O 13.230 1.142 25.749
O 14.490 3.284 25.019
O 13.218 3.225 27.249
O 14.861 3.202 30.037
CELL_PARAMETERS angstrom
11.749 -0.152 19.905
5.748 4.743 3.353
0.095 -0.150 10.009
```

4.
Density functional theory data (PBE+U) for a geometry-optimized MgV4O8 structure. Values from VASP.

Values from the calculation:
Its energy above the most stable polymorph in this dataset is 0 meV per atom. As for the electronic total energy: -0.5556 Ry per atom. For the energy of formation from the pure elements, the calculation gives -2542 meV per atom.

The structure in Quantum ESPRESSO input format:
```
&SYSTEM
  ibrav = 0, nat = 13, ntyp = 3
/
ATOMIC_SPECIES
Mg 24.30 Mg.upf
V 50.94 V.upf
O 16.00 O.upf
ATOMIC_POSITIONS angstrom
Mg -1.376 0.109 1.228
V -1.942 -2.987 5.900
V -2.684 -0.571 4.486
V -0.696 -0.500 6.708
V -5.523 0.524 4.928
O -2.888 0.199 2.579
O -5.411 1.113 2.959
O -4.637 -1.175 4.189
O -3.574 1.178 5.012
O -1.895 -2.137 4.008
O -0.883 0.139 4.853
O -0.084 -2.073 6.031
O -2.525 -1.149 6.363
CELL_PARAMETERS angstrom
-1.536 2.089 5.374
-5.574 1.946 0.862
1.644 -5.031 2.755
```

5.
Density functional theory data (PBE+U) for a geometry-optimized Li2MnOF3 structure. Values from VASP.

Values from the calculation:
Its energy above the most stable polymorph in this dataset is 48 meV per atom. As for the electronic total energy: -0.4114 Ry per atom. For the energy of formation from the pure elements, the calculation gives -2750 meV per atom.

The structure in Quantum ESPRESSO input format:
```
&SYSTEM
  ibrav = 0, nat = 28, ntyp = 4
/
ATOMIC_SPECIES
Li 6.94 Li.upf
Mn 54.94 Mn.upf
O 16.00 O.upf
F 19.00 F.upf
ATOMIC_POSITIONS angstrom
Li 1.533 -9.437 2.440
Li 3.065 -4.457 2.469
Li 1.533 -8.389 7.434
Li 3.064 -3.409 7.463
Li 1.533 -5.891 8.577
Li 3.065 -10.872 8.548
Li 3.065 -5.908 6.320
Li 1.533 -10.888 6.292
Mn 3.064 -1.779 3.735
Mn 3.065 -7.134 1.202
Mn 1.533 -6.759 3.706
Mn 1.532 -2.154 1.231
O 1.532 -5.965 1.986
O 3.064 -0.985 2.015
O 3.065 -7.928 2.922
O 1.532 -2.948 2.951
F 1.533 -4.783 6.968
F 3.065 -9.764 6.940
F 3.065 -7.015 7.929
F 1.533 -11.996 7.900
F 1.532 -7.316 5.501
F 3.064 -2.336 5.530
F 3.065 -4.483 9.396
F 1.533 -9.463 9.367
F 1.532 -8.459 0.657
F 3.064 -3.478 0.685
F 3.065 -5.435 4.252
F 1.533 -10.415 4.223
CELL_PARAMETERS angstrom
3.064 0.000 0.000
1.532 -2.885 9.960
0.001 -9.961 -0.057
```

6.
Density functional theory data (PBE+U) for a geometry-optimized BaCo2P2H2O9 structure. Values from VASP.

Values from the calculation:
As for the electronic total energy: -0.4859 Ry per atom. For the energy of formation from the pure elements, the calculation gives -2309 meV per atom.

The structure in Quantum ESPRESSO input format:
```
&SYSTEM
  ibrav = 0, nat = 32, ntyp = 5
/
ATOMIC_SPECIES
Ba 137.33 Ba.upf
Co 58.93 Co.upf
P 30.97 P.upf
H 1.01 H.upf
O 16.00 O.upf
ATOMIC_POSITIONS angstrom
Ba 2.944 -0.497 5.805
Ba 2.502 -3.300 1.354
Co 1.886 -7.479 1.053
Co 3.143 3.683 6.446
Co 2.328 -4.675 5.504
Co -1.145 0.902 5.125
P 5.047 -3.109 4.382
P 0.759 -5.890 3.062
P 0.936 2.114 7.150
P 0.494 -0.689 2.700
H 2.058 2.690 4.160
H -2.231 -0.091 2.840
H 4.352 -3.688 7.025
H 3.910 -6.491 2.574
O 1.998 2.794 3.184
O 2.440 5.597 7.635
O 0.551 0.593 1.785
O 0.993 3.396 6.236
O 1.656 -7.178 3.199
O 5.945 -4.397 4.519
O 5.833 -1.874 4.935
O 1.544 -4.655 3.614
O 0.546 0.877 6.276
O 0.104 -1.926 1.825
O 0.537 -5.749 1.538
O 0.978 -2.946 5.988
O 1.941 -0.837 3.228
O 2.383 1.966 7.678
O 3.720 -3.186 5.176
O -0.568 -5.967 3.856
O 3.737 2.182 5.157
O -0.552 -0.599 3.837
CELL_PARAMETERS angstrom
-3.846 0.022 3.131
2.855 -9.394 -0.353
4.730 5.584 5.771
```

7.
Density functional theory data (PBE+U) for a geometry-optimized CaNd2Ti2Mn2O12 structure. Values from VASP.

Values from the calculation:
As for the electronic total energy: -0.5864 Ry per atom. For the energy of formation from the pure elements, the calculation gives -3060 meV per atom.

The structure in Quantum ESPRESSO input format:
```
&SYSTEM
  ibrav = 0, nat = 19, ntyp = 5
/
ATOMIC_SPECIES
Ca 40.08 Ca.upf
Nd 144.24 Nd.upf
Ti 47.87 Ti.upf
Mn 54.94 Mn.upf
O 16.00 O.upf
ATOMIC_POSITIONS angstrom
Ca -1.510 -7.311 2.137
Nd 4.567 -1.802 3.012
Nd -0.032 -3.822 1.702
Ti 6.096 -4.498 2.728
Ti 1.707 -6.854 1.352
Mn 3.136 -3.423 0.750
Mn -1.433 -5.840 -0.785
O 1.625 -6.004 5.227
O -2.253 -2.809 2.456
O 0.336 -3.756 4.234
O -1.903 -5.127 0.919
O 0.583 -5.970 2.626
O 2.963 -7.515 2.569
O 0.107 -1.544 2.580
O 2.408 -3.031 2.456
O 5.112 -3.954 4.287
O 2.710 -5.307 0.805
O 5.448 -6.295 2.664
O 1.422 -3.108 -0.044
CELL_PARAMETERS angstrom
-3.227 -2.223 3.675
0.182 -4.746 -2.650
6.123 -2.103 4.118
```

8.
Density functional theory data (PBE+U) for a geometry-optimized Li2NiP2O8 structure. Values from VASP.

Values from the calculation:
Its energy above the most stable polymorph in this dataset is 0 meV per atom. As for the electronic total energy: -0.4555 Ry per atom. For the energy of formation from the pure elements, the calculation gives -2200 meV per atom.

The structure in Quantum ESPRESSO input format:
```
&SYSTEM
  ibrav = 0, nat = 13, ntyp = 4
/
ATOMIC_SPECIES
Li 6.94 Li.upf
Ni 58.69 Ni.upf
P 30.97 P.upf
O 16.00 O.upf
ATOMIC_POSITIONS angstrom
Li 0.000 4.110 3.132
Li 0.000 6.807 4.676
Ni 0.000 4.094 0.023
P 0.000 1.201 4.837
P 0.000 7.046 1.497
O 1.426 4.384 4.845
O 0.000 6.210 2.801
O 0.000 6.137 0.227
O -1.419 3.840 1.505
O 0.000 2.122 6.087
O 1.419 3.840 1.505
O 0.000 2.106 3.586
O -1.426 4.384 4.845
CELL_PARAMETERS angstrom
2.674 4.108 0.000
-2.674 4.108 0.000
0.000 0.032 6.349
```

9.
Density functional theory data (PBE+U) for a geometry-optimized MgVO2F structure. Values from VASP.

Values from the calculation:
As for the electronic total energy: -0.4880 Ry per atom. For the energy of formation from the pure elements, the calculation gives -2848 meV per atom.

The structure in Quantum ESPRESSO input format:
```
&SYSTEM
  ibrav = 0, nat = 5, ntyp = 4
/
ATOMIC_SPECIES
Mg 24.30 Mg.upf
V 50.94 V.upf
O 16.00 O.upf
F 19.00 F.upf
ATOMIC_POSITIONS angstrom
Mg -1.118 -1.697 1.909
V -3.244 -6.640 2.116
O 0.196 -2.994 2.741
O -1.526 -1.151 3.848
F -2.746 -2.555 1.323
CELL_PARAMETERS angstrom
1.243 -3.288 1.187
-1.689 0.651 3.569
-4.608 -3.512 0.971
```

10.
Density functional theory data (PBE+U) for a geometry-optimized MgCr3O7 structure. Values from VASP.

Values from the calculation:
As for the electronic total energy: -0.5119 Ry per atom. For the energy of formation from the pure elements, the calculation gives -2020 meV per atom.

The structure in Quantum ESPRESSO input format:
```
&SYSTEM
  ibrav = 0, nat = 44, ntyp = 3
/
ATOMIC_SPECIES
Mg 24.30 Mg.upf
Cr 52.00 Cr.upf
O 16.00 O.upf
ATOMIC_POSITIONS angstrom
Mg 1.856 0.669 2.565
Mg 4.526 4.335 7.696
Mg 3.485 9.339 7.696
Mg 0.814 5.672 2.565
Cr 3.747 6.910 10.026
Cr 1.076 8.102 0.235
Cr 1.594 3.098 4.895
Cr 4.264 1.906 5.366
Cr 3.699 7.758 2.565
Cr 1.029 7.253 7.696
Cr 1.642 2.249 7.696
Cr 4.312 2.755 2.565
Cr 1.076 8.102 4.895
Cr 3.747 6.910 5.366
Cr 4.264 1.906 10.026
Cr 1.594 3.098 0.235
O 0.305 2.854 9.030
O 2.975 2.150 1.232
O 5.035 7.154 3.899
O 2.365 7.858 6.362
O 5.035 7.154 1.232
O 2.365 7.858 9.030
O 0.305 2.854 6.362
O 2.975 2.150 3.899
O 2.887 2.868 9.043
O 0.217 2.136 1.219
O 2.454 7.140 3.912
O 5.124 7.872 6.350
O 2.454 7.140 1.219
O 5.124 7.872 9.043
O 2.887 2.868 6.350
O 0.217 2.136 3.912
O 4.509 4.452 2.565
O 1.838 0.552 7.696
O 0.832 5.556 7.696
O 3.502 9.455 2.565
O 4.130 0.392 6.081
O 1.460 4.612 4.181
O 1.210 9.616 0.950
O 3.880 5.396 9.311
O 1.210 9.616 4.181
O 3.880 5.396 6.081
O 4.130 0.392 9.311
O 1.460 4.612 0.950
CELL_PARAMETERS angstrom
5.340 0.000 0.000
0.000 10.008 0.000
0.000 0.000 10.261
```

11.
Density functional theory data (PBE+U) for a geometry-optimized TiCoO3 structure. Values from VASP.

Values from the calculation:
As for the electronic total energy: -0.5682 Ry per atom. For the energy of formation from the pure elements, the calculation gives -2501 meV per atom.

The structure in Quantum ESPRESSO input format:
```
&SYSTEM
  ibrav = 0, nat = 10, ntyp = 3
/
ATOMIC_SPECIES
Ti 47.87 Ti.upf
Co 58.93 Co.upf
O 16.00 O.upf
ATOMIC_POSITIONS angstrom
Ti 0.142 6.405 3.143
Ti 2.241 6.408 -1.889
Co 2.820 5.485 1.300
Co -0.436 7.328 -0.047
O -0.568 7.556 1.930
O -0.588 5.490 -0.549
O -0.107 3.230 -2.679
O 2.952 5.257 -0.677
O 2.972 7.323 1.802
O 2.491 9.583 3.932
CELL_PARAMETERS angstrom
0.205 9.972 5.937
3.536 4.626 0.392
-1.357 -1.785 -5.076
```

12.
Density functional theory data (PBE+U) for a geometry-optimized LiMnF4 structure. Values from VASP.

Values from the calculation:
As for the electronic total energy: -0.4008 Ry per atom. For the energy of formation from the pure elements, the calculation gives -2917 meV per atom.

The structure in Quantum ESPRESSO input format:
```
&SYSTEM
  ibrav = 0, nat = 6, ntyp = 3
/
ATOMIC_SPECIES
Li 6.94 Li.upf
Mn 54.94 Mn.upf
F 19.00 F.upf
ATOMIC_POSITIONS angstrom
Li 0.000 0.000 0.000
Mn 3.191 0.000 1.594
F 3.191 -1.295 0.000
F 3.191 1.295 0.000
F 1.347 0.000 1.594
F 5.035 0.000 1.594
CELL_PARAMETERS angstrom
3.191 -3.351 0.000
3.191 3.351 0.000
0.000 0.000 3.188
```